First-principles (r²SCAN) data for a relaxed SiO2 crystal, as listed in the Materials Project database.

Structure (extended XYZ):
```
18
Lattice="7.101 -0.002 -2.684 -3.884 5.945 -2.684 -0.001 -0.002 7.592" Properties=species:S:1:pos:R:3 pbc="T T T"
Si -1.313 4.336 4.625
Si 4.529 1.605 -2.401
Si 1.697 0.337 5.086
Si 1.520 5.605 -2.863
Si -2.647 4.670 -0.210
Si 5.863 1.271 2.433
O -2.186 5.766 0.875
O -1.847 4.959 -1.577
O 5.064 0.982 3.800
O 5.403 0.176 1.349
O 5.316 0.929 -1.171
O -1.586 2.751 4.578
O 0.270 4.620 -3.102
O 2.867 4.777 -3.163
O -2.099 5.013 3.394
O 2.947 1.321 5.325
O 4.803 3.190 -2.354
O 0.349 1.164 5.386
```

Computed properties:
Calculated volume (Å³ per atom): 17.8
SG: R-3 (148)
ΔH_f (0 K) (eV/atom): -3.0220

***

First-principles (r²SCAN) data for a relaxed TbGdAl6 crystal, as listed in the Materials Project database.

Structure (extended XYZ):
```
8
Lattice="-1.272 4.777 -3.896 -3.754 -1.129 4.925 2.561 2.797 2.593" Properties=species:S:1:pos:R:3 pbc="T T T"
Gd -2.926 0.840 1.985
Al -1.730 5.426 -0.075
Al -1.178 3.352 1.617
Al -1.187 1.588 -0.541
Al -3.371 3.173 -0.094
Al 0.452 3.842 -0.521
Al -1.740 3.664 -2.233
Tb 1.280 1.398 1.297
```

Computed properties:
Calculated volume (Å³ per atom): 19.7
SG: P-6m2 (187)
ΔH_f (0 K) (eV/atom): -0.4727

***

First-principles (r²SCAN) data for a relaxed Rb2CuF4 crystal, as listed in the Materials Project database.

Structure (extended XYZ):
```
7
Lattice="4.195 0.000 0.000 0.000 4.195 0.001 -2.098 -2.097 6.627" Properties=species:S:1:pos:R:3 pbc="T T T"
F 0.000 2.098 0.000
F 2.098 0.000 0.000
F 2.098 2.098 4.714
F 0.000 0.000 1.913
Cu 0.000 0.000 0.000
Rb 2.098 2.098 1.901
Rb 0.000 0.001 4.727
```

Computed properties:
Calculated volume (Å³ per atom): 16.7
SG: I4/mmm (139)
ΔH_f (0 K) (eV/atom): -2.5139

***

First-principles (r²SCAN) data for a relaxed InPb crystal, as listed in the Materials Project database.

Structure (extended XYZ):
```
2
Lattice="1.729 2.911 0.125 -1.729 2.911 0.125 0.000 1.044 5.900" Properties=species:S:1:pos:R:3 pbc="T T T"
In 0.000 4.169 1.617
Pb 0.000 2.698 4.533
```

Computed properties:
Calculated volume (Å³ per atom): 29.5
SG: Cm (8)
ΔH_f (0 K) (eV/atom): 0.0272

***

First-principles (r²SCAN) data for a relaxed Na3Hg crystal, as listed in the Materials Project database.

Structure (extended XYZ):
```
4
Lattice="-2.451 2.451 4.610 2.451 -2.451 4.610 2.451 2.451 -4.610" Properties=species:S:1:pos:R:3 pbc="T T T"
Na 0.000 2.451 2.305
Na 2.451 0.000 2.305
Na 0.000 0.000 4.610
Hg 0.000 0.000 0.000
```

Computed properties:
Calculated volume (Å³ per atom): 27.7
SG: I4/mmm (139)
ΔH_f (0 K) (eV/atom): -0.1304

***

First-principles (r²SCAN) data for a relaxed La2SnS5 crystal, as listed in the Materials Project database.

Structure (extended XYZ):
```
16
Lattice="4.019 0.000 0.000 0.000 7.984 0.000 0.000 0.000 11.334" Properties=species:S:1:pos:R:3 pbc="T T T"
S 0.000 3.992 0.000
S 2.009 5.487 4.881
S 2.009 6.489 10.548
S 0.000 2.855 3.383
S 0.000 0.000 5.667
S 0.000 1.136 9.050
S 2.009 1.495 0.786
S 2.009 2.497 6.453
S 0.000 6.847 2.284
S 0.000 5.128 7.951
La 2.009 3.393 9.420
La 2.009 4.591 1.914
La 2.009 0.599 3.753
La 2.009 7.385 7.581
Sn 0.000 3.992 5.667
Sn 0.000 0.000 0.000
```

Computed properties:
Calculated volume (Å³ per atom): 22.7
SG: Pbam (55)
ΔH_f (0 K) (eV/atom): -1.7711

***

First-principles (r²SCAN) data for a relaxed Pr2Al3Ge4 crystal, as listed in the Materials Project database.

Structure (extended XYZ):
```
18
Lattice="-2.157 7.836 -0.177 0.072 -5.968 5.520 7.455 2.102 2.176" Properties=species:S:1:pos:R:3 pbc="T T T"
Ge 4.963 2.705 2.694
Ge 0.406 1.264 4.824
Ge 0.060 -3.276 4.574
Ge 5.309 7.246 2.944
Ge 3.920 3.639 5.365
Ge 3.505 -0.479 4.941
Ge 1.863 4.449 2.577
Ge 1.449 0.330 2.153
Pr 2.430 7.474 1.741
Pr 6.062 1.282 5.324
Pr -0.694 2.688 2.194
Pr 2.938 -3.505 5.778
Al 3.546 5.955 4.410
Al 4.589 5.021 1.739
Al 0.780 -1.052 5.780
Al 1.823 -1.986 3.108
Al 2.684 1.985 3.759
Al 0.000 0.000 0.000
```

Computed properties:
Calculated volume (Å³ per atom): 20.4
SG: Cmce (64)
ΔH_f (0 K) (eV/atom): -0.4984

***

First-principles (r²SCAN) data for a relaxed PrEuHfMnO6 crystal, as listed in the Materials Project database.

Structure (extended XYZ):
```
10
Lattice="-4.491 3.424 0.198 -5.216 -2.174 -0.087 -3.213 0.180 4.645" Properties=species:S:1:pos:R:3 pbc="T T T"
O -5.846 -0.710 1.162
O -7.432 -0.622 3.454
O -8.062 0.979 1.260
O -4.858 0.451 3.496
O -5.489 2.051 1.302
O -7.074 2.140 3.594
Pr -9.690 1.072 3.567
Eu -3.230 0.357 1.189
Hf 0.000 0.000 0.000
Mn -6.460 0.715 2.378
```

Computed properties:
Calculated volume (Å³ per atom): 12.8
SG: F-43m (216)
ΔH_f (0 K) (eV/atom): -3.1928

***

First-principles (r²SCAN) data for a relaxed La4B4I5 crystal, as listed in the Materials Project database.

Structure (extended XYZ):
```
13
Lattice="-7.641 -5.157 3.849 -5.596 -3.683 7.411 -7.692 6.859 1.581" Properties=species:S:1:pos:R:3 pbc="T T T"
B -13.940 2.700 7.876
B -14.695 2.156 6.561
B -13.935 -8.200 11.395
B -7.008 6.197 1.461
I -14.296 -1.338 8.764
I -10.036 -4.950 7.812
I -10.899 2.937 5.045
I -6.653 -0.666 4.096
I -3.882 3.378 0.832
La -11.975 -7.209 9.860
La -12.492 0.669 6.898
La -8.451 -2.674 5.960
La -8.965 5.203 2.996
```

Computed properties:
Calculated volume (Å³ per atom): 32.7
SG: Cm (8)
ΔH_f (0 K) (eV/atom): -1.3253

***

First-principles (r²SCAN) data for a relaxed LiHPd crystal, as listed in the Materials Project database.

Structure (extended XYZ):
```
3
Lattice="2.779 0.000 0.000 0.000 2.779 0.000 0.000 0.000 3.904" Properties=species:S:1:pos:R:3 pbc="T T T"
Pd 0.000 0.000 0.000
H 1.390 1.390 0.000
Li 1.390 1.390 1.952
```

Computed properties:
Calculated volume (Å³ per atom): 10.1
SG: P4/mmm (123)
ΔH_f (0 K) (eV/atom): -0.4082

***

First-principles (r²SCAN) data for a relaxed Y5Ge2Sb2 crystal, as listed in the Materials Project database.

Structure (extended XYZ):
```
18
Lattice="-5.779 0.693 6.250 1.893 -7.271 -4.060 5.653 -1.542 5.398" Properties=species:S:1:pos:R:3 pbc="T T T"
Y 0.317 -0.577 3.490
Y -0.493 -5.526 6.710
Y 0.000 0.000 0.000
Y 0.884 -4.061 3.794
Y 4.400 -4.530 3.964
Y -0.689 -5.609 1.011
Y 2.456 -2.512 6.577
Y 1.450 -7.544 4.098
Y -2.633 -3.592 3.624
Y 2.261 -2.595 0.878
Sb 2.450 -5.687 1.689
Sb -4.212 -0.934 4.145
Sb 0.327 -5.645 -1.955
Sb -0.683 -2.434 5.899
Ge -0.585 -2.567 1.548
Ge 3.073 -1.931 3.778
Ge 2.352 -5.554 6.040
Ge -1.305 -6.190 3.810
```

Computed properties:
Calculated volume (Å³ per atom): 26.6
SG: Cmce (64)
ΔH_f (0 K) (eV/atom): -1.1449

***

First-principles (r²SCAN) data for a relaxed SmI crystal, as listed in the Materials Project database.

Structure (extended XYZ):
```
2
Lattice="-0.471 0.154 3.918 -0.417 -3.433 -1.906 4.460 -0.858 0.570" Properties=species:S:1:pos:R:3 pbc="T T T"
I 2.892 -1.685 2.404
Sm 0.680 -2.452 0.178
```

Computed properties:
Calculated volume (Å³ per atom): 30.9
SG: P-6m2 (187)
ΔH_f (0 K) (eV/atom): -1.0628